Compound: Na2Mg3GeS6O24
Source: the Materials Project database
Functional: PBE-GGA
Structure: optimized geometry Values from VASP.

DFT formation energy (eV/atom): -2.19
Magnetization (μB per atom): 0.000
MP2020-corrected energy (eV/atom): -6.514
Space-group type: P3

Quantum ESPRESSO input file:
```
&SYSTEM
  ibrav = 0, nat = 108, ntyp = 5
/
ATOMIC_SPECIES
S 32.06 S.upf
Na 22.99 Na.upf
O 16.00 O.upf
Mg 24.30 Mg.upf
Ge 72.64 Ge.upf
ATOMIC_POSITIONS angstrom
S -2.5577 4.9827 9.2766
S -1.8143 7.4200 5.6245
S 3.0051 4.6536 13.0763
S 1.7405 2.5070 1.8091
S 6.0845 0.0118 16.8225
S 5.5167 5.2634 16.8225
S 3.0485 5.2824 5.6245
S 3.0365 0.2757 13.0763
S 5.5278 0.2538 1.8091
S 2.5061 4.9904 20.5290
S -1.2342 2.1399 5.6245
S 5.5855 4.6603 1.8091
S -1.2902 7.0963 20.5290
S 6.8122 2.4919 13.0763
S 1.2526 2.1459 16.8225
S 1.2483 2.7148 9.2766
S -1.2159 2.7556 20.5290
S 1.3094 7.1448 9.2766
Na 4.2846 2.4737 18.6101
Na 4.2846 2.4737 7.5358
Na 0.0000 0.0000 11.2995
Na 0.0000 4.9474 3.8765
Na 0.0000 4.9474 14.7734
Na 0.0000 0.0000 0.0596
O -1.4377 4.7699 1.6684
O 2.5233 2.7572 3.0135
O 2.7138 2.2700 16.7808
O 3.2912 1.0826 11.8758
O 0.5705 1.3280 9.1401
O 5.0610 1.0869 9.4006
O 6.9765 0.0388 1.9317
O 0.8726 3.7911 1.6684
O 1.1402 6.3317 10.4764
O 5.8666 2.2518 5.5358
O -0.9008 3.6952 12.9604
O 0.8299 1.3599 1.9317
O 7.5487 1.2785 6.8706
O 3.3629 3.8150 20.7087
O 2.8492 7.2512 9.1401
O -0.9854 6.2170 5.7814
O 1.5640 0.1455 13.1852
O 0.5651 6.2813 1.6684
O 2.6771 7.2448 15.6997
O 7.6612 1.2817 13.1852
O -0.6341 6.3537 12.9604
O 5.9861 2.3090 11.8758
O -1.1092 6.2528 21.7991
O 0.6028 3.4462 17.0202
O -0.5759 3.3341 21.7991
O 5.0508 4.0514 0.5912
O 3.3633 6.2362 20.4212
O -0.9520 3.5773 19.3701
O -0.6068 3.4592 5.7814
O 1.5922 5.1660 5.7814
O 3.5851 0.8720 14.3195
O 5.4108 3.8573 3.0135
O -1.6015 5.1760 17.0202
O 3.3014 1.2146 5.5358
O 5.0974 3.8395 9.4006
O 3.5838 1.0048 20.7087
O -2.6350 7.2317 4.4286
O 5.2465 1.2152 16.7808
O 3.5765 4.0296 11.8758
O 3.2957 6.0873 4.4286
O 0.6511 1.4803 15.6997
O 1.0772 1.2894 18.1601
O 5.0473 6.0224 1.9317
O -3.3282 6.1171 15.6997
O 1.6625 4.8081 19.3701
O 5.2678 1.0213 0.5912
O -0.7106 6.4569 19.3701
O -3.4197 6.2630 9.1401
O 2.6954 2.4947 9.4006
O -0.5656 1.3904 20.4212
O 4.8626 5.8436 18.1601
O 0.9987 6.2201 17.0202
O -0.6607 1.5233 4.4286
O 3.6857 3.9547 5.5358
O 0.9906 3.4882 8.0616
O 2.5352 2.3484 0.5912
O 0.6287 3.2678 10.4764
O -2.7977 7.2157 20.4212
O 1.6851 5.2553 21.7991
O 3.2472 3.8804 14.3195
O 4.8936 3.9360 16.7808
O -1.7690 5.2427 10.4764
O 1.5349 4.7934 12.9604
O -1.7590 4.8192 8.0616
O 6.0215 2.6688 14.3195
O 3.6876 5.8982 6.8706
O 6.9140 0.2882 18.1601
O 3.6286 5.9939 13.1852
O 1.6174 0.2445 6.8706
O 4.9197 0.8066 3.0135
O 5.9071 2.6012 20.7087
O 0.7684 6.5349 8.0616
Mg 0.0000 4.9474 18.2242
Mg 4.2846 2.4737 15.2393
Mg 4.2846 2.4737 4.2130
Mg 4.2846 2.4737 22.0200
Mg 0.0000 4.9474 7.1145
Mg 0.0000 0.0000 14.4056
Mg 0.0000 4.9474 11.5982
Mg 0.0000 0.0000 3.3357
Mg 4.2846 2.4737 10.8353
Ge 0.0000 0.0000 18.9450
Ge 0.0000 4.9474 0.4077
Ge 0.0000 0.0000 7.8990
CELL_PARAMETERS angstrom
8.5692 0.0000 0.0000
-4.2846 7.4211 0.0000
0.0000 0.0000 22.4188
```

***

Compound: Zr
Source: the Materials Project database
Functional: PBE-GGA
Structure: optimized geometry Values from VASP.

DFT formation energy (eV/atom): 0.07
Energy above the lowest structure with this stoichiometry (kJ/mol of atoms): 7.2
Space-group type: Im-3m

Quantum ESPRESSO input file:
```
&SYSTEM
  ibrav = 0, nat = 1, ntyp = 1
/
ATOMIC_SPECIES
Zr 91.22 Zr.upf
ATOMIC_POSITIONS angstrom
Zr 0.0000 0.0000 0.0000
CELL_PARAMETERS angstrom
-1.7916 1.7916 1.7916
1.7916 -1.7916 1.7916
1.7916 1.7916 -1.7916
```

***

Compound: HfCrAgS4
Source: the Materials Project database
Functional: PBE-GGA
Structure: optimized geometry Values from VASP.

DFT formation energy (eV/atom): -1.13
Energy above the lowest structure with this stoichiometry (kJ/mol of atoms): 9.7
Magnetization (μB per atom): 0.429
MP2020-corrected energy (eV/atom): -6.702
Space-group type: Pmc2_1

Quantum ESPRESSO input file:
```
&SYSTEM
  ibrav = 0, nat = 28, ntyp = 4
/
ATOMIC_SPECIES
Hf 178.49 Hf.upf
Ag 107.87 Ag.upf
S 32.06 S.upf
Cr 52.00 Cr.upf
ATOMIC_POSITIONS angstrom
Hf 6.6168 0.8998 11.8910
Hf 0.6549 0.8998 1.5374
Hf 0.9674 0.8998 7.8324
Hf 6.3043 0.8998 5.0371
Ag 2.9213 2.6995 10.9878
Ag 8.4211 0.8998 2.2156
Ag 2.7717 0.8998 4.3589
Ag 8.5707 2.6995 8.7357
S 10.9191 0.8998 3.8228
S 0.9415 0.8998 12.1542
S 0.2648 2.6995 9.4238
S 2.3877 2.6995 2.0972
S 3.4278 0.8998 8.5752
S 6.9915 2.6995 0.5005
S 6.5909 0.8998 7.5693
S 10.2614 2.6995 0.9036
S 1.3421 2.6995 6.0740
S 5.2697 0.8998 2.7516
S 4.6120 2.6995 5.6709
S 9.8986 0.8998 6.8584
S 4.2492 0.8998 12.8650
S 5.9142 2.6995 10.2996
S 9.0772 0.8998 11.1483
S 8.0371 2.6995 4.4773
Cr 10.6645 2.6995 11.7005
Cr 10.3701 2.6995 5.3272
Cr 4.7207 2.6995 1.2472
Cr 5.0151 2.6995 8.0229
CELL_PARAMETERS angstrom
11.2988 0.0000 0.0000
0.0000 3.5993 0.0000
0.0000 0.0000 13.1490
```

***

Compound: LiCuPO4
Source: the Materials Project database
Functional: PBE-GGA
Structure: optimized geometry Values from VASP.

DFT formation energy (eV/atom): -2.15
Energy above the lowest structure with this stoichiometry (kJ/mol of atoms): 4.2
Magnetization (μB per atom): 0.143
MP2020-corrected energy (eV/atom): -6.613
Space-group type: Pna2_1

Quantum ESPRESSO input file:
```
&SYSTEM
  ibrav = 0, nat = 84, ntyp = 4
/
ATOMIC_SPECIES
Cu 63.55 Cu.upf
P 30.97 P.upf
O 16.00 O.upf
Li 6.94 Li.upf
ATOMIC_POSITIONS angstrom
Cu -9.3107 -4.5072 -4.9565
Cu -12.4791 -6.7716 -9.7578
Cu -1.2518 -1.8278 0.4099
Cu -4.2061 -4.2226 -4.4642
Cu -12.2452 -7.7857 -5.7028
Cu -5.3526 -1.4441 2.3807
Cu -8.9086 -5.0424 -1.1728
Cu -10.2132 -1.4396 1.7118
Cu -13.6257 -3.9932 -2.9129
Cu -16.9674 -7.7218 -6.5392
Cu -5.8183 -1.2277 -0.9281
Cu -7.8503 -7.5738 -8.3426
P -10.9546 -5.9311 -3.3117
P -3.6600 0.3569 0.7169
P -6.5471 -5.4690 -6.4071
P -14.7478 -6.2212 -4.7015
P -8.0471 -0.1176 3.8053
P -3.3450 -2.8934 -1.8347
P -11.3170 -2.8579 -0.8661
P -10.0186 -8.9033 -10.4292
P -10.4856 -6.1315 -7.5132
P -14.2041 -8.6838 -7.9900
P -7.6073 -2.9831 0.9769
P -7.1111 -3.0898 -3.3121
O -7.3407 -1.3807 4.2875
O -6.0819 -2.5664 0.9692
O -1.4256 -3.3644 2.6277
O -10.3483 -7.6455 -11.3170
O -10.5795 -4.1914 -0.6648
O -5.1538 -5.1938 -5.8285
O -11.7540 -5.6633 -8.3333
O -10.4203 -5.0708 -6.4079
O -15.4595 -8.8048 -7.1115
O -4.7115 -6.5609 -1.7643
O -10.6657 -7.5756 -6.9730
O -7.9874 -8.9894 -6.4883
O -13.2945 -3.2021 -7.3453
O -5.1598 -0.1801 0.6863
O -11.1020 -4.5054 -3.9636
O -13.4324 -2.7294 -4.6075
O -8.0335 -8.5425 -3.7951
O -10.4208 -1.8162 -1.5772
O -12.9841 -9.1103 -7.0581
O -16.0861 -6.4526 -5.4132
O -3.6523 1.4751 1.7664
O -7.1048 -2.1017 -2.1068
O -12.6691 -2.9916 -1.5770
O -6.4999 -4.4406 -2.9533
O -7.6590 -3.9971 -0.1719
O -8.6600 -8.7380 -9.6834
O -8.4550 -1.7263 0.6967
O -6.3729 -2.4817 -4.5629
O -6.8472 0.4577 -1.4312
O -7.6722 -5.4700 -5.3598
O -13.9866 -7.2292 -8.4706
O -14.1707 -9.6605 -9.1719
O -9.4944 -6.0378 -2.7353
O -8.6370 -3.2095 -3.6768
O -2.7922 -0.8566 1.0869
O -11.0017 -7.0597 -4.3856
O -4.1624 -1.6086 -2.0756
O -7.1266 0.6584 2.7905
O -9.4465 -0.4234 3.1910
O -13.5531 -6.2070 -5.6758
O -1.9933 -2.6154 -1.1666
O -4.4677 -3.1295 3.0983
O -11.1723 -9.1804 -9.4705
O -16.7058 -5.8829 -9.0398
O -9.2605 -6.0894 -8.4481
O -4.2183 -3.9157 -1.0589
O -9.8484 0.7598 -0.8758
O -12.0131 -6.1204 -2.2298
Li -11.8927 -3.7177 -5.8553
Li -9.5869 -8.3518 -4.9944
Li -7.0731 0.9325 0.6119
Li -7.4100 -6.2717 -3.3074
Li -10.4526 -2.0501 -3.9704
Li -12.5190 -10.7459 -9.6763
Li -8.6120 -1.1276 -1.2004
Li -4.3224 -3.9723 1.3216
Li -5.3436 2.4240 2.3985
Li -6.0655 -4.9334 -1.1145
Li -13.8764 -5.5071 -7.5165
Li -10.8851 -9.5836 -7.5817
CELL_PARAMETERS angstrom
-9.9184 -9.1305 -12.8396
-1.1735 -4.0398 3.7792
-6.9507 4.2288 2.3621
```

***

Among the records above, which one has the lowest DFT formation energy? Na2Mg3GeS6O24

***

Which of these has the highest DFT formation energy? Zr

***

Among the records above, which one has the lowest DFT formation energy? Na2Mg3GeS6O24